CdS PBE optimized geometry; VASP energy = -0.1162 hartree per atom; energy with MP2020 corrections = -3.41 eV/atom; ΔE_f = -0.884 eV/atom; largest piezoelectric modulus = 0.42 C/m2; V = 105 Å³/cell
1.0
4.207 0.000 0.000
-2.103 3.643 0.000
0.000 0.000 6.843
Cd S
2 2
direct
0.333 0.667 0.000 Cd
0.667 0.333 0.500 Cd
0.333 0.667 0.623 S
0.667 0.333 0.123 S


CdS PBE optimized geometry; VASP energy = -0.1161 hartree per atom; energy with MP2020 corrections = -3.41 eV/atom; ΔE_f = -0.882 eV/atom; largest piezoelectric modulus = 0.23 C/m2; V = 52 Å³/cell
1.0
0.000 2.970 2.970
2.970 0.000 2.970
2.970 2.970 0.000
Cd S
1 1
direct
0.000 0.000 0.000 Cd
0.250 0.250 0.250 S